--- P ---
VASP calculation (PBE) on a geometry-optimized Ba2CePrO6 structure.

```
40
Lattice="9.016 0.000 0.000 0.000 9.016 0.000 0.000 0.000 9.016" Properties=species:S:1:pos:R:3 pbc="T T T"
Ba 2.254 2.254 2.254
Ba 2.254 2.254 6.762
Ba 2.254 6.762 2.254
Ba 2.254 6.762 6.762
Ba 6.762 2.254 2.254
Ba 6.762 2.254 6.762
Ba 6.762 6.762 2.254
Ba 6.762 6.762 6.762
Ce 0.000 0.000 0.000
Ce 0.000 4.508 4.508
Ce 4.508 0.000 4.508
Ce 4.508 4.508 0.000
Pr 0.000 0.000 4.508
Pr 0.000 4.508 0.000
Pr 4.508 0.000 0.000
Pr 4.508 4.508 4.508
O 0.276 4.830 6.695
O 0.276 8.694 6.829
O 0.322 2.187 8.740
O 0.322 2.321 4.784
O 2.187 4.784 4.186
O 2.187 8.740 0.322
O 2.321 4.784 0.322
O 2.321 8.740 4.186
O 4.186 2.187 4.784
O 4.186 2.321 8.740
O 4.232 4.830 6.829
O 4.232 8.694 6.695
O 4.784 0.322 2.321
O 4.784 4.186 2.187
O 4.830 6.695 0.276
O 4.830 6.829 4.232
O 6.695 0.276 4.830
O 6.695 4.232 8.694
O 6.829 0.276 8.694
O 6.829 4.232 4.830
O 8.694 6.695 4.232
O 8.694 6.829 0.276
O 8.740 0.322 2.187
O 8.740 4.186 2.321
```

--- Q ---
VASP calculation (PBE) on a geometry-optimized Ba2CePrO6 structure.

```
10
Lattice="0.000 4.527 4.527 4.527 0.000 4.527 4.527 4.527 0.000" Properties=species:S:1:pos:R:3 pbc="T T T"
Ba 2.263 2.263 2.263
Ba 6.790 6.790 6.790
Ce 0.000 0.000 0.000
Pr 4.527 4.527 4.527
O 4.527 4.527 2.202
O 4.527 2.202 4.527
O 6.851 4.527 4.527
O 2.202 4.527 4.527
O 4.527 6.851 4.527
O 4.527 4.527 6.851
```

Unit: meV per atom. Relative energies: P 0; Q 45.

--- P ---
VASP calculation (PBE) on a geometry-optimized BaSrCeZrO6 structure.

```
40
Lattice="8.603 0.000 0.000 0.000 8.611 0.000 0.000 0.000 8.619" Properties=species:S:1:pos:R:3 pbc="T T T"
Ba 0.000 0.000 0.000
Ba 0.000 0.000 4.310
Ba 4.302 0.000 0.000
Ba 4.302 4.306 4.310
Sr 0.000 4.306 0.000
Sr 0.000 4.306 4.310
Sr 4.302 0.000 4.310
Sr 4.302 4.306 0.000
Ce 2.151 2.177 2.159
Ce 2.151 6.435 6.460
Ce 6.452 2.177 6.460
Ce 6.452 6.435 2.159
Zr 2.152 2.180 6.460
Zr 2.152 6.432 2.159
Zr 6.451 2.180 2.159
Zr 6.451 6.432 6.460
O 0.057 1.928 6.231
O 0.057 6.683 2.388
O 1.846 2.458 8.556
O 1.846 4.248 6.110
O 1.846 4.363 2.509
O 1.846 6.153 0.063
O 2.362 0.067 6.704
O 2.362 8.544 1.915
O 2.496 1.874 4.375
O 2.496 6.738 4.244
O 4.236 2.502 6.775
O 4.236 6.110 1.844
O 4.367 2.502 1.844
O 4.367 6.110 6.775
O 6.107 1.874 4.244
O 6.107 6.738 4.375
O 6.241 0.067 1.915
O 6.241 8.544 6.704
O 6.757 2.458 0.063
O 6.757 4.248 2.509
O 6.757 4.363 6.110
O 6.757 6.153 8.556
O 8.546 1.928 2.388
O 8.546 6.683 6.231
```

--- Q ---
VASP calculation (PBE) on a geometry-optimized BaSrCeZrO6 structure.

```
10
Lattice="0.000 4.342 4.342 4.342 0.000 4.342 4.342 4.342 0.000" Properties=species:S:1:pos:R:3 pbc="T T T"
Ba 0.000 0.000 0.000
Sr 4.342 4.342 4.342
Ce 2.171 2.171 2.171
Zr 6.512 6.512 6.512
O 6.512 6.512 4.400
O 6.512 4.400 6.512
O 8.624 6.512 6.512
O 4.400 6.512 6.512
O 6.512 8.624 6.512
O 6.512 6.512 8.624
```

--- R ---
VASP calculation (PBE) on a geometry-optimized BaSrCeZrO6 structure.

```
20
Lattice="6.068 0.000 0.000 -0.024 6.093 0.000 -0.022 -0.025 8.583" Properties=species:S:1:pos:R:3 pbc="T T T"
Ba 0.029 0.140 2.145
Ba 5.993 5.928 6.438
Sr 2.981 3.229 2.157
Sr 3.040 2.838 6.426
Ce -0.023 3.034 4.291
Ce 3.034 0.000 0.000
Zr -0.012 3.046 0.000
Zr 3.023 -0.013 4.291
O 0.497 3.068 6.504
O 1.253 4.726 0.310
O 1.336 4.793 3.997
O 1.684 1.791 0.399
O 1.783 1.704 3.908
O 2.612 0.196 6.373
O 3.409 5.872 2.210
O 4.239 4.364 4.675
O 4.338 4.277 8.184
O 4.686 1.275 4.585
O 4.768 1.342 8.273
O 5.525 2.999 2.079
```

Unit: meV per atom. Relative energies: P 6; Q 51; R 0.